(1)
VASP calculation (GGA-PBE) on an optimized crystal structure of Ce4SiRh12.

symmetry	No. 229
crystal system	cubic
electronic total energy	-7.637	eV per atom

Cell and atoms, written as CIF:
```
data_Ce4SiRh12
_chemical_formula_sum 'Ce4 Si1 Rh12'
_cell_length_a 7.206
_cell_length_b 7.206
_cell_length_c 7.206
_cell_angle_alpha 109.47
_cell_angle_beta 109.47
_cell_angle_gamma 109.47
_symmetry_space_group_name_H-M 'P 1'
_symmetry_Int_Tables_number 1
loop_
_symmetry_equiv_pos_as_xyz
'x,y,z'
loop_
_atom_site_label
_atom_site_type_symbol
_atom_site_fract_x
_atom_site_fract_y
_atom_site_fract_z
Ce1 Ce 0.000 0.000 0.500
Ce2 Ce 0.000 0.500 0.000
Ce3 Ce 0.500 0.000 0.000
Ce4 Ce 0.500 0.500 0.500
Si1 Si 0.000 0.000 0.000
Rh1 Rh 0.000 0.279 0.279
Rh2 Rh 0.000 0.721 0.721
Rh3 Rh 0.250 0.500 0.750
Rh4 Rh 0.250 0.750 0.500
Rh5 Rh 0.279 0.000 0.279
Rh6 Rh 0.279 0.279 0.000
Rh7 Rh 0.500 0.250 0.750
Rh8 Rh 0.500 0.750 0.250
Rh9 Rh 0.721 0.000 0.721
Rh10 Rh 0.721 0.721 0.000
Rh11 Rh 0.750 0.250 0.500
Rh12 Rh 0.750 0.500 0.250
```

***

(2)
VASP calculation (GGA-PBE) on an optimized crystal structure of Ta2Co3Ge.

symmetry	No. 194
crystal system	hexagonal
electronic total energy	-8.615	eV per atom

Cell and atoms, written as CIF:
```
data_Ta2Co3Ge
_chemical_formula_sum 'Ta4 Co6 Ge2'
_cell_length_a 4.892
_cell_length_b 4.892
_cell_length_c 7.655
_cell_angle_alpha 90.00
_cell_angle_beta 90.00
_cell_angle_gamma 120.00
_symmetry_space_group_name_H-M 'P 1'
_symmetry_Int_Tables_number 1
loop_
_symmetry_equiv_pos_as_xyz
'x,y,z'
loop_
_atom_site_label
_atom_site_type_symbol
_atom_site_fract_x
_atom_site_fract_y
_atom_site_fract_z
Ta1 Ta 0.333 0.667 0.060
Ta2 Ta 0.333 0.667 0.440
Ta3 Ta 0.667 0.333 0.560
Ta4 Ta 0.667 0.333 0.940
Co1 Co 0.172 0.344 0.750
Co2 Co 0.172 0.828 0.750
Co3 Co 0.344 0.172 0.250
Co4 Co 0.656 0.828 0.750
Co5 Co 0.828 0.172 0.250
Co6 Co 0.828 0.656 0.250
Ge1 Ge 0.000 0.000 0.000
Ge2 Ge 0.000 0.000 0.500
```

***

(3)
VASP calculation (GGA-PBE) on an optimized crystal structure of HfOs.

symmetry	No. 221
crystal system	cubic
electronic total energy	-11.301	eV per atom

Cell and atoms, written as CIF:
```
data_HfOs
_chemical_formula_sum 'Hf1 Os1'
_cell_length_a 3.259
_cell_length_b 3.259
_cell_length_c 3.259
_cell_angle_alpha 90.00
_cell_angle_beta 90.00
_cell_angle_gamma 90.00
_symmetry_space_group_name_H-M 'P 1'
_symmetry_Int_Tables_number 1
loop_
_symmetry_equiv_pos_as_xyz
'x,y,z'
loop_
_atom_site_label
_atom_site_type_symbol
_atom_site_fract_x
_atom_site_fract_y
_atom_site_fract_z
Hf1 Hf 0.000 0.000 0.000
Os1 Os 0.500 0.500 0.500
```

***

(4)
VASP calculation (GGA-PBE) on an optimized crystal structure of ScFeGe2.

symmetry	No. 55
crystal system	orthorhombic
electronic total energy	-6.547	eV per atom

Cell and atoms, written as CIF:
```
data_ScFeGe2
_chemical_formula_sum 'Sc12 Fe12 Ge24'
_cell_length_a 9.255
_cell_length_b 10.049
_cell_length_c 8.047
_cell_angle_alpha 90.00
_cell_angle_beta 90.00
_cell_angle_gamma 90.00
_symmetry_space_group_name_H-M 'P 1'
_symmetry_Int_Tables_number 1
loop_
_symmetry_equiv_pos_as_xyz
'x,y,z'
loop_
_atom_site_label
_atom_site_type_symbol
_atom_site_fract_x
_atom_site_fract_y
_atom_site_fract_z
Sc1 Sc 0.164 0.178 0.000
Sc2 Sc 0.172 0.453 0.241
Sc3 Sc 0.172 0.453 0.759
Sc4 Sc 0.328 0.953 0.241
Sc5 Sc 0.328 0.953 0.759
Sc6 Sc 0.336 0.678 0.000
Sc7 Sc 0.664 0.322 0.000
Sc8 Sc 0.672 0.047 0.241
Sc9 Sc 0.672 0.047 0.759
Sc10 Sc 0.828 0.547 0.241
Sc11 Sc 0.828 0.547 0.759
Sc12 Sc 0.836 0.822 0.000
Fe1 Fe 0.000 0.000 0.245
Fe2 Fe 0.000 0.000 0.755
Fe3 Fe 0.085 0.750 0.251
Fe4 Fe 0.085 0.750 0.749
Fe5 Fe 0.415 0.250 0.251
Fe6 Fe 0.415 0.250 0.749
Fe7 Fe 0.500 0.500 0.245
Fe8 Fe 0.500 0.500 0.755
Fe9 Fe 0.585 0.750 0.251
Fe10 Fe 0.585 0.750 0.749
Fe11 Fe 0.915 0.250 0.251
Fe12 Fe 0.915 0.250 0.749
Ge1 Ge 0.041 0.624 0.000
Ge2 Ge 0.042 0.626 0.500
Ge3 Ge 0.126 0.906 0.500
Ge4 Ge 0.130 0.898 0.000
Ge5 Ge 0.163 0.181 0.342
Ge6 Ge 0.163 0.181 0.658
Ge7 Ge 0.337 0.681 0.342
Ge8 Ge 0.337 0.681 0.658
Ge9 Ge 0.370 0.398 0.000
Ge10 Ge 0.374 0.406 0.500
Ge11 Ge 0.458 0.126 0.500
Ge12 Ge 0.459 0.124 0.000
Ge13 Ge 0.541 0.876 0.000
Ge14 Ge 0.542 0.874 0.500
Ge15 Ge 0.626 0.594 0.500
Ge16 Ge 0.630 0.602 0.000
Ge17 Ge 0.663 0.319 0.342
Ge18 Ge 0.663 0.319 0.658
Ge19 Ge 0.837 0.819 0.342
Ge20 Ge 0.837 0.819 0.658
Ge21 Ge 0.870 0.102 0.000
Ge22 Ge 0.874 0.094 0.500
Ge23 Ge 0.958 0.374 0.500
Ge24 Ge 0.959 0.376 0.000
```